Entry 1:
A plane-wave DFT calculation with PBE-GGA was carried out for a relaxed structure of CaTiO2.

a b c (Å): 9.2725 9.2725 11.7641
angles (deg): 128.54 128.54 18.34
Fractional coordinates of all 16 atoms:
Ca (0.0675, 0.0675, 0.2743)
Ca (0.3655, 0.3655, 0.9343)
Ca (0.6345, 0.6345, 0.0657)
Ca (0.9325, 0.9325, 0.7257)
Ti (0.2058, 0.2058, 0.6155)
Ti (0.3366, 0.3366, 0.1498)
Ti (0.6634, 0.6634, 0.8502)
Ti (0.7942, 0.7942, 0.3845)
O (0.0900, 0.0900, 0.8661)
O (0.1733, 0.1733, 0.7331)
O (0.1927, 0.1927, 0.2620)
O (0.3560, 0.3560, 0.5387)
O (0.6440, 0.6440, 0.4613)
O (0.8073, 0.8073, 0.7380)
O (0.8267, 0.8267, 0.2669)
O (0.9100, 0.9100, 0.1339)

Properties
* offset from the most stable computed form: 223 meV per atom
* energy of formation from the pure elements: -2.728 eV per atom

***

Entry 2:
A plane-wave DFT calculation with PBE-GGA was carried out for a relaxed structure of CaTiO2.

a b c (Å): 3.0274 8.3386 8.3839
angles (deg): 93.06 90.74 100.08
Fractional coordinates of all 16 atoms:
Ca (0.1410, 0.2390, 0.4304)
Ca (0.2773, 0.5421, 0.1762)
Ca (0.7227, 0.4579, 0.8238)
Ca (0.8590, 0.7610, 0.5696)
Ti (0.0321, 0.1022, 0.7775)
Ti (0.4086, 0.8360, 0.9070)
Ti (0.5914, 0.1640, 0.0930)
Ti (0.9679, 0.8978, 0.2225)
O (0.1446, 0.2896, 0.9601)
O (0.3052, 0.6351, 0.7392)
O (0.3612, 0.7583, 0.3470)
O (0.4512, 0.9462, 0.6961)
O (0.5488, 0.0538, 0.3039)
O (0.6388, 0.2417, 0.6530)
O (0.6948, 0.3649, 0.2608)
O (0.8554, 0.7104, 0.0399)

Properties
* offset from the most stable computed form: 0 meV per atom
* energy of formation from the pure elements: -2.951 eV per atom

***

Entry 3:
A plane-wave DFT calculation with PBE-GGA was carried out for a relaxed structure of CaTi2O6.

a b c (Å): 10.0305 8.9790 5.2252
angles (deg): 90.00 90.10 90.00
Fractional coordinates of all 36 atoms:
Ca (0.2504, 0.0038, 0.0072)
Ca (0.2504, 0.4962, 0.5072)
Ca (0.7496, 0.5038, 0.4928)
Ca (0.7496, 0.9962, 0.9928)
Ti (0.0095, 0.1619, 0.5078)
Ti (0.0095, 0.3381, 0.0078)
Ti (0.4884, 0.6773, 0.9992)
Ti (0.4884, 0.8227, 0.4992)
Ti (0.5116, 0.1773, 0.5008)
Ti (0.5116, 0.3227, 0.0008)
Ti (0.9905, 0.6619, 0.9922)
Ti (0.9905, 0.8381, 0.4922)
O (0.1019, 0.1799, 0.8309)
O (0.1019, 0.3201, 0.3309)
O (0.1037, 0.6769, 0.3241)
O (0.1037, 0.8231, 0.8241)
O (0.1085, 0.0006, 0.3702)
O (0.1085, 0.4994, 0.8702)
O (0.3854, 0.6817, 0.6882)
O (0.3854, 0.8183, 0.1882)
O (0.3965, 0.0039, 0.6414)
O (0.3965, 0.4961, 0.1414)
O (0.4036, 0.1752, 0.1865)
O (0.4036, 0.3248, 0.6865)
O (0.5964, 0.6752, 0.3135)
O (0.5964, 0.8248, 0.8135)
O (0.6035, 0.5039, 0.8586)
O (0.6035, 0.9961, 0.3586)
O (0.6146, 0.1817, 0.8118)
O (0.6146, 0.3183, 0.3118)
O (0.8915, 0.5006, 0.1298)
O (0.8915, 0.9994, 0.6298)
O (0.8963, 0.1769, 0.1759)
O (0.8963, 0.3231, 0.6759)
O (0.8981, 0.6799, 0.6691)
O (0.8981, 0.8201, 0.1691)

Properties
* energy of formation from the pure elements: -2.931 eV per atom

***

Entry 4:
A plane-wave DFT calculation with PBE-GGA was carried out for a relaxed structure of CaTi2O6.

a b c (Å): 7.2373 7.2373 5.1825
angles (deg): 110.55 110.55 76.72
Fractional coordinates of all 18 atoms:
Ca (0.2482, 0.7518, 0.7500)
Ca (0.7518, 0.2482, 0.2500)
Ti (0.1792, 0.3545, 0.0225)
Ti (0.3545, 0.1792, 0.5225)
Ti (0.6455, 0.8208, 0.4775)
Ti (0.8208, 0.6455, 0.9775)
O (0.0800, 0.2220, 0.5827)
O (0.1003, 0.6077, 0.9639)
O (0.2220, 0.0800, 0.0827)
O (0.2906, 0.4280, 0.4343)
O (0.3923, 0.8997, 0.5361)
O (0.4280, 0.2906, 0.9343)
O (0.5720, 0.7094, 0.0657)
O (0.6077, 0.1003, 0.4639)
O (0.7094, 0.5720, 0.5657)
O (0.7780, 0.9200, 0.9173)
O (0.8997, 0.3923, 0.0361)
O (0.9200, 0.7780, 0.4173)

Properties
* energy of formation from the pure elements: -2.973 eV per atom

***

Entry 5:
A plane-wave DFT calculation with PBE-GGA was carried out for a relaxed structure of CaTi2O4.

a b c (Å): 5.9115 11.3718 5.1316
angles (deg): 90.00 90.00 90.00
Fractional coordinates of all 28 atoms:
Ca (0.2500, 0.2500, 0.0391)
Ca (0.2500, 0.7500, 0.3404)
Ca (0.7500, 0.2500, 0.6596)
Ca (0.7500, 0.7500, 0.9609)
Ti (0.0000, 0.0000, 0.5000)
Ti (0.0000, 0.5000, 0.5000)
Ti (0.2500, 0.5105, 0.9730)
Ti (0.2500, 0.9895, 0.9730)
Ti (0.5000, 0.0000, 0.5000)
Ti (0.5000, 0.5000, 0.5000)
Ti (0.7500, 0.0105, 0.0270)
Ti (0.7500, 0.4895, 0.0270)
O (0.0031, 0.1064, 0.8391)
O (0.0031, 0.3936, 0.8391)
O (0.2500, 0.0902, 0.3257)
O (0.2500, 0.4098, 0.3257)
O (0.2500, 0.6079, 0.6547)
O (0.2500, 0.8921, 0.6547)
O (0.4969, 0.1064, 0.8391)
O (0.4969, 0.3936, 0.8391)
O (0.5031, 0.6064, 0.1609)
O (0.5031, 0.8936, 0.1609)
O (0.7500, 0.1079, 0.3453)
O (0.7500, 0.3921, 0.3453)
O (0.7500, 0.5902, 0.6743)
O (0.7500, 0.9098, 0.6743)
O (0.9969, 0.6064, 0.1609)
O (0.9969, 0.8936, 0.1609)

Properties
* offset from the most stable computed form: 10 meV per atom
* energy of formation from the pure elements: -3.336 eV per atom

***

Entry 6:
A plane-wave DFT calculation with PBE-GGA was carried out for a relaxed structure of CaTiO3.

a b c (Å): 5.5074 7.6940 5.4078
angles (deg): 90.00 90.00 90.00
Fractional coordinates of all 20 atoms:
Ca (0.0429, 0.2500, 0.0091)
Ca (0.4571, 0.7500, 0.5091)
Ca (0.5429, 0.2500, 0.4909)
Ca (0.9571, 0.7500, 0.9909)
Ti (0.0000, 0.0000, 0.5000)
Ti (0.0000, 0.5000, 0.5000)
Ti (0.5000, 0.0000, 0.0000)
Ti (0.5000, 0.5000, 0.0000)
O (0.0198, 0.7500, 0.4219)
O (0.2100, 0.5410, 0.7906)
O (0.2100, 0.9590, 0.7906)
O (0.2900, 0.0410, 0.2906)
O (0.2900, 0.4590, 0.2906)
O (0.4802, 0.2500, 0.9219)
O (0.5198, 0.7500, 0.0781)
O (0.7100, 0.5410, 0.7094)
O (0.7100, 0.9590, 0.7094)
O (0.7900, 0.0410, 0.2094)
O (0.7900, 0.4590, 0.2094)
O (0.9802, 0.2500, 0.5781)

Properties
* energy of formation from the pure elements: -3.556 eV per atom